Record 1
## Pr2ZrSe5 (r2SCAN)

Data for a geometry-optimized Pr2ZrSe5 structure.

Crystal system ... orthorhombic

Cell: 7.7733 8.3903 12.2483 Å, 90.00 90.00 90.00°
With the nearest neighbours (Å) after each atom.
Atoms (fractional coordinates):
Pr 0.4645 0.4976 0.1768  8 Se 3.04-3.19
Pr 0.0355 0.0024 0.6768  8 Se 3.04-3.19
Pr 0.5355 0.9976 0.8232  8 Se 3.04-3.19
Pr 0.9645 0.5024 0.3232  8 Se 3.04-3.19
Pr 0.5355 0.5024 0.8232  8 Se 3.04-3.19
Pr 0.9645 0.9976 0.3232  8 Se 3.04-3.19
Pr 0.4645 0.0024 0.1768  8 Se 3.04-3.19
Pr 0.0355 0.4976 0.6768  8 Se 3.04-3.19
Zr 0.9231 0.7500 0.0076  7 Se 2.68-2.86
Zr 0.5769 0.7500 0.5076  7 Se 2.68-2.86
Zr 0.0769 0.2500 0.9924  7 Se 2.68-2.86
Zr 0.4231 0.2500 0.4924  7 Se 2.68-2.86
Se 0.1574 0.7500 0.1833  1 Zr 2.82, 2 Pr 3.08
Se 0.3426 0.7500 0.6833  1 Zr 2.82, 2 Pr 3.08
Se 0.8426 0.2500 0.8167  1 Zr 2.82, 2 Pr 3.08
Se 0.6574 0.2500 0.3167  1 Zr 2.82, 2 Pr 3.08
Se 0.6776 0.7500 0.2935  1 Zr 2.74, 2 Pr 3.04
Se 0.8224 0.7500 0.7935  1 Zr 2.74, 2 Pr 3.04
Se 0.3224 0.2500 0.7065  1 Zr 2.74, 2 Pr 3.04
Se 0.1776 0.2500 0.2065  1 Zr 2.74, 2 Pr 3.04
Se 0.5552 0.7500 0.0047  1 Zr 2.86, 4 Pr 3.05-3.07
Se 0.9448 0.7500 0.5047  1 Zr 2.86, 4 Pr 3.05-3.07
Se 0.4448 0.2500 0.9953  1 Zr 2.86, 4 Pr 3.05-3.07
Se 0.0552 0.2500 0.4953  1 Zr 2.86, 4 Pr 3.05-3.07
Se 0.8343 0.4635 0.0851  2 Zr 2.68-2.84
Se 0.6657 0.0365 0.5851  2 Zr 2.68-2.84
Se 0.1657 0.9635 0.9149  2 Zr 2.68-2.84
Se 0.3343 0.5365 0.4149  2 Zr 2.68-2.84
Se 0.1657 0.5365 0.9149  2 Zr 2.68-2.84
Se 0.3343 0.9635 0.4149  2 Zr 2.68-2.84
Se 0.8343 0.0365 0.0851  2 Zr 2.68-2.84
Se 0.6657 0.4635 0.5851  2 Zr 2.68-2.84



Record 2
## Pr5Si4 (r2SCAN)

Data for a geometry-optimized Pr5Si4 structure.

Crystal system ... tetragonal

Cell: 7.9596 7.9596 15.3580 Å, 90.00 90.00 90.00°
With the nearest neighbours (Å) after each atom.
Atoms (fractional coordinates):
Pr 0.3092 0.3092 0.0000  6 Si 3.17-3.21
Pr 0.1908 0.8092 0.2500  6 Si 3.17-3.22
Pr 0.8092 0.1908 0.7500  6 Si 3.17-3.22
Pr 0.6908 0.6908 0.5000  6 Si 3.17-3.22
Pr 0.3783 0.0104 0.4483  6 Si 3.18-3.38
Pr 0.4896 0.8783 0.6983  6 Si 3.18-3.38
Pr 0.5104 0.1217 0.1983  6 Si 3.18-3.38
Pr 0.8783 0.4896 0.3016  6 Si 3.18-3.38
Pr 0.1217 0.5104 0.8017  6 Si 3.18-3.38
Pr 0.6217 0.9896 0.9484  6 Si 3.18-3.38
Pr 0.0104 0.3783 0.5516  6 Si 3.18-3.38
Pr 0.9896 0.6217 0.0517  6 Si 3.18-3.38
Pr 0.1272 0.9805 0.8747  6 Si 2.99-3.15
Pr 0.5195 0.6272 0.1247  6 Si 2.99-3.15
Pr 0.4805 0.3728 0.6247  6 Si 2.99-3.15
Pr 0.6272 0.5195 0.8753  6 Si 2.99-3.15
Pr 0.3728 0.4805 0.3753  6 Si 2.99-3.15
Pr 0.8728 0.0195 0.3747  6 Si 2.99-3.15
Pr 0.9805 0.1272 0.1253  6 Si 2.99-3.15
Pr 0.0195 0.8728 0.6253  6 Si 2.99-3.15
Si 0.1976 0.1688 0.7024  1 Si 2.44
Si 0.3312 0.6976 0.9524  1 Si 2.44
Si 0.6688 0.3024 0.4524  1 Si 2.44
Si 0.6976 0.3312 0.0476  1 Si 2.44
Si 0.3024 0.6688 0.5476  1 Si 2.44
Si 0.8024 0.8312 0.2024  1 Si 2.44
Si 0.1688 0.1976 0.2976  1 Si 2.44
Si 0.8312 0.8024 0.7976  1 Si 2.44
Si 0.2889 0.9220 0.0587  1 Si 2.44
Si 0.5780 0.7889 0.3087  1 Si 2.44
Si 0.4220 0.2111 0.8087  1 Si 2.44
Si 0.7889 0.5780 0.6913  1 Si 2.44
Si 0.2111 0.4220 0.1913  1 Si 2.44
Si 0.7111 0.0780 0.5587  1 Si 2.44
Si 0.9220 0.2889 0.9413  1 Si 2.44
Si 0.0780 0.7111 0.4413  1 Si 2.44



Record 3
## PrSi2 (r2SCAN)

Data for a geometry-optimized PrSi2 structure.

Crystal system ... tetragonal

Cell: 4.3330 4.3330 7.4296 Å, 106.95 106.95 90.00°
With the nearest neighbours (Å) after each atom.
Atoms (fractional coordinates):
Pr 0.8750 0.6250 0.2500  12 Si 3.10-3.28
Pr 0.1250 0.3750 0.7500  12 Si 3.10-3.28
Si 0.7110 0.9610 0.9220  3 Si 2.33-2.41
Si 0.4610 0.2110 0.4220  3 Si 2.33-2.41
Si 0.5390 0.7890 0.5780  3 Si 2.33-2.41
Si 0.2890 0.0390 0.0780  3 Si 2.33-2.41



Record 4
## Pr2Si3 (r2SCAN)

Data for a geometry-optimized Pr2Si3 structure.

Crystal system ... orthorhombic

Cell: 7.7188 7.7188 7.7188 Å, 150.23 147.93 44.33°
With the nearest neighbours (Å) after each atom.
Atoms (fractional coordinates):
Pr 0.6263 0.6263 0.0000  8 Si 3.08-3.25
Pr 0.8742 0.3742 0.5000  10 Si 3.11-3.23
Si 0.4611 0.9611 0.5000  1 Si 2.33
Si 0.2045 0.2045 0.0000  2 Si 2.39
Si 0.2980 0.7980 0.5000  3 Si 2.33-2.39



Record 5
## Pr3Sm (r2SCAN)

Data for a geometry-optimized Pr3Sm structure.

Crystal system ... cubic
Energy relative to the lowest polymorph listed for this composition ... 4 meV/atom

Cell: 5.2324 5.2324 5.2324 Å, 90.00 90.00 90.00°
With the nearest neighbours (Å) after each atom.
Atoms (fractional coordinates):
Pr 0.0000 0.5000 0.5000  8 Pr 3.70, 4 Sm 3.70
Pr 0.5000 0.0000 0.5000  8 Pr 3.70, 4 Sm 3.70
Pr 0.5000 0.5000 0.0000  8 Pr 3.70, 4 Sm 3.70
Sm 0.0000 0.0000 0.0000  12 Pr 3.70



Record 6
## PrSm3 (r2SCAN)

Data for a geometry-optimized PrSm3 structure.

Crystal system ... tetragonal
Energy relative to the lowest polymorph listed for this composition ... 0 meV/atom

Cell: 6.3067 6.3067 6.3067 Å, 131.44 131.44 71.12°
With the nearest neighbours (Å) after each atom.
Atoms (fractional coordinates):
Pr 0.0000 0.0000 0.0000  12 Sm 3.65-3.67
Sm 0.7500 0.2500 0.5000  8 Sm 3.65-3.67, 4 Pr 3.65
Sm 0.2500 0.7500 0.5000  8 Sm 3.65-3.67, 4 Pr 3.65
Sm 0.5000 0.5000 0.0000  8 Sm 3.65, 4 Pr 3.67



Record 7
## PrSm3 (r2SCAN)

Data for a geometry-optimized PrSm3 structure.

Crystal system ... cubic
Energy relative to the lowest polymorph listed for this composition ... 5 meV/atom

Cell: 5.1651 5.1651 5.1651 Å, 90.00 90.00 90.00°
With the nearest neighbours (Å) after each atom.
Atoms (fractional coordinates):
Pr 0.0000 0.0000 0.0000  12 Sm 3.65
Sm 0.0000 0.5000 0.5000  4 Pr 3.65, 8 Sm 3.65
Sm 0.5000 0.0000 0.5000  8 Sm 3.65, 4 Pr 3.65
Sm 0.5000 0.5000 0.0000  8 Sm 3.65, 4 Pr 3.65



Record 8
## Pr3Sm (r2SCAN)

Data for a geometry-optimized Pr3Sm structure.

Crystal system ... tetragonal
Energy relative to the lowest polymorph listed for this composition ... 0 meV/atom

Cell: 6.3963 6.3963 6.3963 Å, 131.60 131.60 70.86°
With the nearest neighbours (Å) after each atom.
Atoms (fractional coordinates):
Pr 0.7500 0.2500 0.5000  8 Pr 3.70-3.71, 4 Sm 3.70
Pr 0.2500 0.7500 0.5000  8 Pr 3.70-3.71, 4 Sm 3.70
Pr 0.5000 0.5000 0.0000  8 Pr 3.70, 4 Sm 3.71
Sm 0.0000 0.0000 0.0000  12 Pr 3.70-3.71



Record 9
## PrSm3 (r2SCAN)

Data for a geometry-optimized PrSm3 structure.

Crystal system ... hexagonal
Energy relative to the lowest polymorph listed for this composition ... 2 meV/atom

Cell: 7.4477 7.4477 5.8389 Å, 90.00 90.00 120.00°
With the nearest neighbours (Å) after each atom.
Atoms (fractional coordinates):
Pr 0.3333 0.6667 0.7500  12 Sm 3.63-3.72
Pr 0.6667 0.3333 0.2500  12 Sm 3.63-3.72
Sm 0.1664 0.3329 0.2500  8 Sm 3.62-3.73, 4 Pr 3.63-3.72
Sm 0.6671 0.8336 0.2500  8 Sm 3.62-3.73, 4 Pr 3.63-3.72
Sm 0.1664 0.8336 0.2500  8 Sm 3.62-3.73, 4 Pr 3.63-3.72
Sm 0.8336 0.6671 0.7500  8 Sm 3.62-3.73, 4 Pr 3.63-3.72
Sm 0.3329 0.1664 0.7500  8 Sm 3.62-3.73, 4 Pr 3.63-3.72
Sm 0.8336 0.1664 0.7500  8 Sm 3.62-3.73, 4 Pr 3.63-3.72



Record 10
## PrSmTl2 (r2SCAN)

Data for a geometry-optimized PrSmTl2 structure.

Crystal system ... cubic

Cell: 5.4926 5.4926 5.4926 Å, 60.00 60.00 60.00°
With the nearest neighbours (Å) after each atom.
Atoms (fractional coordinates):
Pr 0.2500 0.2500 0.2500  8 Tl 3.36
Sm 0.7500 0.7500 0.7500  8 Tl 3.36
Tl 0.0000 0.0000 0.0000  4 Sm 3.36, 4 Pr 3.36
Tl 0.5000 0.5000 0.5000  4 Pr 3.36, 4 Sm 3.36



no.,M_tot (μB/cell),DFT formation energy (eV per atom),calculated total energy (eV/cell)
1,0.00,-1.986,-676.02
2,8.11,-0.741,-755.15
3,0.00,-0.634,-97.71
4,0.00,-0.664,-88.45
5,0.00,0.035,-117.81
6,0.00,0.026,-118.50
7,0.00,0.031,-118.48
8,0.00,0.031,-117.82
9,0.01,0.029,-236.98
10,0.00,-0.496,-167.48